No. 1
## PtSe2 (PBE)

Data for a relaxed structure of PtSe2.

Cell: 3.7610 3.7610 6.1180 Å, 90.00 90.00 120.00°
With the nearest neighbours (Å) after each atom.
Fractional coordinates of all 3 atoms:
Pt: 0.0000 0.0000 0.0000  6 Se 2.53
Se: 0.3333 0.6667 0.2136  3 Pt 2.53
Se: 0.6667 0.3333 0.7864  3 Pt 2.53

electronic total energy: -14.22 eV/cell

***

No. 2
## Pt5Se4 (PBE)

Data for a relaxed structure of Pt5Se4.

Cell: 6.6705 4.6987 11.2790 Å, 90.00 101.40 90.00°
With the nearest neighbours (Å) after each atom.
Fractional coordinates of all 18 atoms:
Pt: 0.0000 0.0000 0.0000  2 Se 2.46, 4 Pt 2.70-2.72
Pt: 0.0000 0.5000 0.5000  2 Se 2.46, 4 Pt 2.70-2.72
Pt: 0.2231 0.1636 0.6736  4 Se 2.47-2.64, 2 Pt 2.69-2.72
Pt: 0.2231 0.3364 0.1736  4 Se 2.47-2.64, 2 Pt 2.69-2.72
Pt: 0.3315 0.6679 0.0020  3 Se 2.48-2.52, 3 Pt 2.69-2.75
Pt: 0.3315 0.8321 0.5020  3 Se 2.48-2.52, 3 Pt 2.69-2.75
Pt: 0.6685 0.1679 0.4980  3 Se 2.48-2.52, 3 Pt 2.69-2.75
Pt: 0.6685 0.3321 0.9980  3 Se 2.48-2.52, 3 Pt 2.69-2.75
Pt: 0.7769 0.6636 0.8264  4 Se 2.47-2.64, 2 Pt 2.69-2.72
Pt: 0.7769 0.8364 0.3264  4 Se 2.47-2.64, 2 Pt 2.69-2.72
Se: 0.0884 0.1350 0.3622  4 Pt 2.46-2.64
Se: 0.0884 0.3650 0.8622  4 Pt 2.46-2.64
Se: 0.4858 0.5375 0.3560  4 Pt 2.47-2.60
Se: 0.4858 0.9625 0.8560  4 Pt 2.47-2.60
Se: 0.5142 0.0375 0.1440  4 Pt 2.47-2.60
Se: 0.5142 0.4625 0.6440  4 Pt 2.47-2.60
Se: 0.9116 0.6350 0.1378  4 Pt 2.46-2.64
Se: 0.9116 0.8650 0.6378  4 Pt 2.46-2.64

electronic total energy: -94.10 eV/cell

***

Q: Which of these has the highest electronic total energy?
A: PtSe2

***

Q: The highest electronic total energy belongs to which entry?
A: PtSe2

***

Q: Which of these has the lowest electronic total energy?
A: Pt5Se4